{"formula": "MgCr2Fe2O6", "functional": "PBE+U", "state": "optimized geometry", "lattice_angstrom": [[5.1536, 0.0000, 0.0000], [2.5530, 4.5059, 0.0000], [2.5583, 1.5263, 5.0231]], "species": ["Mg", "Cr", "Cr", "Fe", "Fe", "O", "O", "O", "O", "O", "O"], "fractional_positions": [[0.0000, 0.0000, 0.0000], [0.1712, 0.1731, 0.4845], [0.8288, 0.8269, 0.5155], [0.3634, 0.3638, 0.9095], [0.6366, 0.6362, 0.0905], [0.0552, 0.4157, 0.7410], [0.2102, 0.9536, 0.2534], [0.4160, 0.7890, 0.7475], [0.5840, 0.2110, 0.2525], [0.7898, 0.0464, 0.7466], [0.9448, 0.5843, 0.2590]], "dft_energy_ev_per_atom": -7.0523, "ef_ev_per_atom": -2.061, "polymorph_energy_mev_per_atom": 0}